No. 1
SbH24C6N3Cl6: relaxed, r2SCAN.

Geometry as CIF:
```
data_SbH24C6N3Cl6
_symmetry_space_group_name_H-M 'P 1'
_symmetry_Int_Tables_number 1
_cell_length_a 9.527
_cell_length_b 10.046
_cell_length_c 11.067
_cell_angle_alpha 66.14
_cell_angle_beta 77.77
_cell_angle_gamma 77.05
loop_
_symmetry_equiv_pos_as_xyz
'x,y,z'
loop_
_atom_site_label
_atom_site_type_symbol
_atom_site_fract_x
_atom_site_fract_y
_atom_site_fract_z
Cl1 Cl 0.969 0.685 0.672
H1 H 0.680 0.127 0.128
Cl2 Cl 0.144 0.308 0.658
C1 C 0.667 0.640 0.073
Cl3 Cl 0.031 0.315 0.328
H2 H 0.175 0.558 0.859
H3 H 0.000 0.833 0.358
H4 H 0.747 0.518 0.325
H5 H 0.202 0.923 0.198
N1 N 0.957 0.083 0.639
C2 C 0.710 0.481 0.162
H6 H 0.470 0.889 0.429
C3 C 0.989 0.918 0.871
Cl4 Cl 0.609 0.691 0.667
Cl5 Cl 0.640 0.351 0.633
H7 H 0.538 0.089 0.793
N2 N 0.558 0.920 0.355
H8 H 0.000 0.167 0.642
H9 H 0.701 0.353 0.366
H10 H 0.958 0.004 0.116
C4 C 0.635 0.045 0.114
H11 H 0.072 0.841 0.838
Sb1 Sb 0.174 0.486 0.348
H12 H 0.576 0.916 0.775
Sb2 Sb 0.826 0.514 0.652
H13 H 0.450 0.325 0.906
H14 H 0.425 0.496 0.668
H15 H 0.170 0.080 0.243
H16 H 0.727 0.712 0.087
H17 H 0.364 0.172 0.639
H18 H 0.934 0.855 0.968
H19 H 0.530 0.111 0.571
H20 H 0.462 0.911 0.207
N3 N 0.319 0.537 0.695
H21 H 0.046 0.016 0.609
H22 H 0.830 0.920 0.757
H23 H 0.308 0.350 0.031
H24 H 0.575 0.504 0.332
C5 C 0.118 0.002 0.227
Cl6 Cl 0.798 0.375 0.890
H25 H 0.066 0.145 0.032
H26 H 0.253 0.482 0.675
H27 H 0.607 0.988 0.377
H28 H 0.353 0.591 0.848
H29 H 0.597 0.096 0.016
C6 C 0.290 0.519 0.838
H30 H 0.393 0.012 0.623
H31 H 0.273 0.288 0.913
H32 H 0.424 0.084 0.225
H33 H 0.721 0.953 0.113
N4 N 0.442 0.080 0.645
Cl7 Cl 0.391 0.309 0.333
H34 H 0.647 0.409 0.152
H35 H 0.825 0.442 0.141
Cl8 Cl 0.856 0.692 0.342
C7 C 0.509 0.993 0.221
H36 H 0.403 0.904 0.984
H37 H 0.928 0.159 0.162
N5 N 0.043 0.917 0.361
Cl9 Cl 0.360 0.649 0.367
H38 H 0.692 0.650 0.969
Cl10 Cl 0.202 0.625 0.110
Cl11 Cl 0.736 0.100 0.438
H39 H 0.112 0.874 0.432
C8 C 0.491 0.007 0.779
H40 H 0.954 0.984 0.391
H41 H 0.636 0.828 0.361
H42 H 0.320 0.873 0.872
C9 C 0.365 0.955 0.886
C10 C 0.333 0.360 0.927
N6 N 0.681 0.463 0.305
H43 H 0.279 0.047 0.887
H44 H 0.888 0.126 0.568
Cl12 Cl 0.264 0.900 0.562
C11 C 0.011 0.082 0.129
C12 C 0.882 0.998 0.773
H45 H 0.299 0.647 0.634
H46 H 0.550 0.675 0.094
H47 H 0.042 0.996 0.884
H48 H 0.798 0.077 0.802
```

Calculated values
Symmetry ... P-1 (2)

---

No. 2
KNa22C2S9ClO42: relaxed, r2SCAN.

Geometry as CIF:
```
data_KNa22C2S9ClO42
_symmetry_space_group_name_H-M 'P 1'
_symmetry_Int_Tables_number 1
_cell_length_a 10.393
_cell_length_b 10.393
_cell_length_c 20.934
_cell_angle_alpha 90.00
_cell_angle_beta 90.00
_cell_angle_gamma 120.00
loop_
_symmetry_equiv_pos_as_xyz
'x,y,z'
loop_
_atom_site_label
_atom_site_type_symbol
_atom_site_fract_x
_atom_site_fract_y
_atom_site_fract_z
Na1 Na 0.639 0.816 0.425
Na2 Na 0.000 0.000 0.826
O1 O 0.889 0.279 0.144
O2 O 0.405 0.595 0.070
O3 O 0.810 0.405 0.570
Na3 Na 0.467 0.519 0.161
S1 S 0.168 0.829 0.909
O4 O 0.080 0.758 0.967
O5 O 0.889 0.279 0.356
Na4 Na 0.519 0.052 0.839
O6 O 0.452 0.327 0.419
S2 S 0.171 0.339 0.909
Na5 Na 0.000 0.000 0.674
O7 O 0.678 0.920 0.533
O8 O 0.190 0.595 0.430
O9 O 0.364 0.008 0.750
O10 O 0.080 0.758 0.533
O11 O 0.039 0.195 0.607
O12 O 0.805 0.844 0.607
Na6 Na 0.052 0.533 0.339
S3 S 0.642 0.851 0.250
Na7 Na 0.649 0.855 0.750
O13 O 0.595 0.190 0.930
O14 O 0.644 0.636 0.750
O15 O 0.279 0.391 0.644
O16 O 0.961 0.805 0.393
O17 O 0.992 0.356 0.750
Na8 Na 0.052 0.533 0.161
O18 O 0.452 0.327 0.081
O19 O 0.111 0.721 0.644
O20 O 0.799 0.566 0.692
O21 O 0.799 0.566 0.808
O22 O 0.201 0.434 0.308
Na9 Na 0.145 0.794 0.750
Na10 Na 0.500 0.000 0.000
Na11 Na 0.361 0.184 0.575
Na12 Na 0.948 0.467 0.839
Na13 Na 0.533 0.481 0.661
Na14 Na 0.855 0.206 0.250
S4 S 0.829 0.661 0.091
O23 O 0.125 0.452 0.581
O24 O 0.087 0.201 0.250
Na15 Na 0.667 0.333 0.124
O25 O 0.434 0.233 0.808
Na16 Na 0.816 0.178 0.925
O26 O 0.886 0.087 0.750
S5 S 0.358 0.149 0.750
Na17 Na 0.361 0.184 0.925
Na18 Na 0.333 0.667 0.624
O27 O 0.595 0.190 0.570
Cl1 Cl 0.667 0.333 0.250
O28 O 0.636 0.992 0.250
Cl2 Cl 0.333 0.667 0.750
O29 O 0.805 0.844 0.893
O30 O 0.920 0.242 0.467
S6 S 0.661 0.832 0.909
Na19 Na 0.481 0.948 0.161
O31 O 0.875 0.548 0.081
O32 O 0.125 0.452 0.919
O33 O 0.758 0.678 0.467
S7 S 0.339 0.168 0.091
O34 O 0.767 0.201 0.808
O35 O 0.548 0.673 0.581
O36 O 0.913 0.799 0.750
Na20 Na 0.816 0.178 0.575
O37 O 0.195 0.156 0.393
O38 O 0.721 0.609 0.144
O39 O 0.233 0.799 0.192
O40 O 0.844 0.039 0.107
S8 S 0.851 0.209 0.750
Na21 Na 0.467 0.519 0.339
O41 O 0.767 0.201 0.692
O42 O 0.327 0.875 0.919
O43 O 0.678 0.920 0.967
S9 S 0.829 0.661 0.409
C1 C 0.333 0.667 0.431
S10 S 0.209 0.358 0.250
O44 O 0.156 0.961 0.607
O45 O 0.609 0.889 0.644
S11 S 0.168 0.829 0.591
K1 K 0.000 0.000 0.500
S12 S 0.832 0.171 0.091
O46 O 0.405 0.810 0.070
Na22 Na 0.500 0.500 0.500
C2 C 0.667 0.333 0.931
K2 K 0.000 0.000 0.000
O47 O 0.595 0.405 0.570
O48 O 0.405 0.595 0.430
Na23 Na 0.500 0.000 0.500
O49 O 0.673 0.125 0.419
Na24 Na 0.500 0.500 0.000
O50 O 0.595 0.405 0.930
O51 O 0.201 0.434 0.192
O52 O 0.875 0.548 0.419
Na25 Na 0.351 0.145 0.250
O53 O 0.920 0.242 0.033
Na26 Na 0.533 0.481 0.839
Na27 Na 0.178 0.361 0.075
O54 O 0.844 0.039 0.393
C3 C 0.667 0.333 0.569
O55 O 0.810 0.405 0.930
O56 O 0.434 0.233 0.692
O57 O 0.391 0.111 0.356
Na28 Na 0.822 0.639 0.925
O58 O 0.961 0.805 0.107
S13 S 0.171 0.339 0.591
O59 O 0.391 0.111 0.144
O60 O 0.195 0.156 0.107
O61 O 0.758 0.678 0.033
O62 O 0.566 0.767 0.192
O63 O 0.039 0.195 0.893
Na29 Na 0.184 0.822 0.425
Na30 Na 0.519 0.052 0.661
O64 O 0.609 0.889 0.856
S14 S 0.661 0.832 0.591
S15 S 0.832 0.171 0.409
O65 O 0.356 0.364 0.250
Na31 Na 0.000 0.500 0.500
O66 O 0.233 0.799 0.308
Na32 Na 0.794 0.649 0.250
Na33 Na 0.639 0.816 0.075
O67 O 0.566 0.767 0.308
O68 O 0.405 0.810 0.430
Na34 Na 0.481 0.948 0.339
Na35 Na 0.000 0.000 0.174
O69 O 0.721 0.609 0.356
Na36 Na 0.822 0.639 0.575
O70 O 0.114 0.913 0.250
O71 O 0.322 0.080 0.467
Na37 Na 0.178 0.361 0.425
S16 S 0.339 0.168 0.409
Na38 Na 0.667 0.333 0.376
O72 O 0.111 0.721 0.856
Na39 Na 0.000 0.000 0.326
O73 O 0.242 0.322 0.967
O74 O 0.673 0.125 0.081
Na40 Na 0.333 0.667 0.876
Na41 Na 0.184 0.822 0.075
O75 O 0.190 0.595 0.070
O76 O 0.008 0.644 0.250
C4 C 0.333 0.667 0.069
O77 O 0.201 0.114 0.750
O78 O 0.799 0.886 0.250
Na42 Na 0.206 0.351 0.750
O79 O 0.327 0.875 0.581
O80 O 0.548 0.673 0.919
O81 O 0.242 0.322 0.533
O82 O 0.156 0.961 0.893
S17 S 0.791 0.642 0.750
S18 S 0.149 0.791 0.250
O83 O 0.322 0.080 0.033
Na43 Na 0.948 0.467 0.661
O84 O 0.279 0.391 0.856
Na44 Na 0.000 0.500 0.000
```

Calculated values
Symmetry ... P6_3/m (176)

---

E_form / meV per atom: -447; -1983